# CdAs4O16 PBE optimized geometry
data_CdAs4O16
_chemical_formula_sum 'Cd1 As4 O16'
_cell_length_a 5.787
_cell_length_b 7.142
_cell_length_c 8.737
_cell_angle_alpha 103.48
_cell_angle_beta 93.71
_cell_angle_gamma 91.55
_symmetry_space_group_name_H-M 'P -1'
_symmetry_Int_Tables_number 2
_symmetry_space_group_name_Hall '-P 1'
loop_
_atom_site_label
_atom_site_fract_x
_atom_site_fract_y
_atom_site_fract_z
_atom_site_occupancy
Cd1 0.000 0.000 0.000 1
As1 0.143 0.457 0.253 1
As2 0.478 0.071 0.771 1
O1 0.020 0.683 0.306 1
O2 0.057 0.726 0.825 1
O3 0.229 0.874 0.180 1
O4 0.249 0.454 0.443 1
O5 0.325 0.138 0.935 1
O6 0.361 0.471 0.129 1
O7 0.374 0.156 0.611 1
O8 0.436 0.824 0.690 1
# Corrected total energy (MP2020 scheme)   -113.77 eV per cell
# Calculated total energy   -4.894 eV/atom

# Cs2MoSe4 PBE optimized geometry
data_Cs2MoSe4
_chemical_formula_sum 'Cs8 Mo4 Se16'
_cell_length_a 10.666
_cell_length_b 7.611
_cell_length_c 13.477
_cell_angle_alpha 90.00
_cell_angle_beta 90.00
_cell_angle_gamma 90.00
_symmetry_space_group_name_H-M 'P n m a'
_symmetry_Int_Tables_number 62
_symmetry_space_group_name_Hall '-P 2ac 2n'
loop_
_atom_site_label
_atom_site_fract_x
_atom_site_fract_y
_atom_site_fract_z
_atom_site_occupancy
Cs1 0.046 0.250 0.158 1
Cs2 0.167 0.750 0.390 1
Mo1 0.243 0.250 0.575 1
Se1 0.042 0.750 0.113 1
Se2 0.148 0.002 0.643 1
Se3 0.214 0.250 0.404 1
# Corrected total energy (MP2020 scheme)   -138.37 eV per cell
# Calculated total energy   -4.672 eV/atom

# CsHfMg30O31 PBE optimized geometry
data_CsHfMg30O31
_chemical_formula_sum 'Cs1 Hf1 Mg30 O31'
_cell_length_a 8.672
_cell_length_b 8.735
_cell_length_c 8.761
_cell_angle_alpha 90.00
_cell_angle_beta 90.00
_cell_angle_gamma 90.00
_symmetry_space_group_name_H-M 'P m m 2'
_symmetry_Int_Tables_number 25
_symmetry_space_group_name_Hall 'P 2 -2'
loop_
_atom_site_label
_atom_site_fract_x
_atom_site_fract_y
_atom_site_fract_z
_atom_site_occupancy
Cs1 0.000 0.000 0.000 1
Hf1 0.500 0.000 0.981 1
Mg1 0.000 0.000 0.505 1
Mg2 0.000 0.255 0.267 1
Mg3 0.000 0.259 0.754 1
Mg4 0.000 0.500 0.013 1
Mg5 0.000 0.500 0.510 1
Mg6 0.241 0.000 0.740 1
Mg7 0.248 0.500 0.760 1
Mg8 0.249 0.263 0.014 1
Mg9 0.250 0.253 0.510 1
Mg10 0.250 0.500 0.264 1
Mg11 0.253 0.000 0.271 1
Mg12 0.500 0.000 0.508 1
Mg13 0.500 0.249 0.263 1
Mg14 0.500 0.260 0.756 1
Mg15 0.500 0.500 0.015 1
Mg16 0.500 0.500 0.508 1
O1 0.000 0.000 0.290 1
O2 0.000 0.000 0.718 1
O3 0.000 0.257 0.510 1
O4 0.000 0.285 0.015 1
O5 0.000 0.500 0.270 1
O6 0.000 0.500 0.754 1
O7 0.245 0.251 0.762 1
O8 0.250 0.252 0.263 1
O9 0.253 0.500 0.512 1
O10 0.258 0.000 0.510 1
O11 0.258 0.500 0.012 1
O12 0.283 0.000 0.036 1
O13 0.500 0.000 0.271 1
O14 0.500 0.253 0.511 1
O15 0.500 0.256 0.015 1
O16 0.500 0.500 0.263 1
O17 0.500 0.500 0.760 1
# Corrected total energy (MP2020 scheme)   -390.59 eV per cell
# Calculated total energy   -5.862 eV/atom
# Relative energy among the computed polymorphs   7 meV/atom

# NdGa3Cu PBE optimized geometry
data_NdGa3Cu
_chemical_formula_sum 'Nd2 Ga6 Cu2'
_cell_length_a 4.198
_cell_length_b 4.198
_cell_length_c 10.621
_cell_angle_alpha 90.00
_cell_angle_beta 90.00
_cell_angle_gamma 90.00
_symmetry_space_group_name_H-M 'I -4 m 2'
_symmetry_Int_Tables_number 119
_symmetry_space_group_name_Hall 'I -4 -2'
loop_
_atom_site_label
_atom_site_fract_x
_atom_site_fract_y
_atom_site_fract_z
_atom_site_occupancy
Nd1 0.000 0.000 0.000 1
Ga1 0.000 0.000 0.383 1
Ga2 0.000 0.500 0.250 1
Cu1 0.000 0.500 0.750 1
# Calculated total energy   -4.095 eV/atom

# MgSb2O4 PBE optimized geometry
data_MgSb2O4
_chemical_formula_sum 'Mg16 Sb32 O64'
_cell_length_a 12.862
_cell_length_b 6.519
_cell_length_c 21.273
_cell_angle_alpha 90.00
_cell_angle_beta 102.03
_cell_angle_gamma 90.00
_symmetry_space_group_name_H-M 'C 1 m 1'
_symmetry_Int_Tables_number 8
_symmetry_space_group_name_Hall 'C -2y'
loop_
_atom_site_label
_atom_site_fract_x
_atom_site_fract_y
_atom_site_fract_z
_atom_site_occupancy
Mg1 0.000 0.000 0.000 1
Mg2 0.001 0.000 0.433 1
Mg3 0.041 0.500 0.536 1
Mg4 0.163 0.000 0.893 1
Mg5 0.271 0.500 0.248 1
Mg6 0.273 0.000 0.208 1
Mg7 0.311 0.000 0.795 1
Mg8 0.402 0.000 0.657 1
Sb1 0.011 0.500 0.113 1
Sb2 0.021 0.248 0.267 1
Sb3 0.026 0.254 0.774 1
Sb4 0.041 0.000 0.610 1
Sb5 0.079 0.500 0.404 1
Sb6 0.229 0.500 0.686 1
Sb7 0.232 0.245 0.030 1
Sb8 0.272 0.000 0.352 1
Sb9 0.308 0.245 0.524 1
Sb10 0.308 0.500 0.853 1
Sb11 0.416 0.500 0.125 1
Sb12 0.493 0.000 0.951 1
O1 0.017 0.000 0.831 1
O2 0.047 0.000 0.207 1
O3 0.051 0.000 0.709 1
O4 0.060 0.280 0.464 1
O5 0.074 0.500 0.688 1
O6 0.092 0.230 0.960 1
O7 0.117 0.500 0.198 1
O8 0.128 0.500 0.064 1
O9 0.193 0.500 0.591 1
O10 0.209 0.000 0.089 1
O11 0.224 0.221 0.840 1
O12 0.234 0.210 0.284 1
O13 0.269 0.000 0.976 1
O14 0.275 0.000 0.584 1
O15 0.351 0.500 0.947 1
O16 0.370 0.210 0.728 1
O17 0.373 0.257 0.211 1
O18 0.383 0.000 0.489 1
O19 0.399 0.500 0.489 1
O20 0.428 0.000 0.348 1
O21 0.443 0.253 0.597 1
O22 0.460 0.000 0.856 1
O23 0.490 0.500 0.327 1
O24 0.492 0.305 0.075 1
# Corrected total energy (MP2020 scheme)   -691.06 eV per cell
# Calculated total energy   -5.778 eV/atom
# Relative energy among the computed polymorphs   236 meV/atom

# GaSe PBE optimized geometry
data_GaSe
_chemical_formula_sum 'Ga8 Se8'
_cell_length_a 3.8126
_cell_length_b 3.8126
_cell_length_c 35.1047
_cell_angle_alpha 90.00
_cell_angle_beta 90.00
_cell_angle_gamma 120.00
_symmetry_space_group_name_H-M 'P 63 m c'
_symmetry_Int_Tables_number 186
_symmetry_space_group_name_Hall 'P 6c -2c'
loop_
_atom_site_label
_atom_site_fract_x
_atom_site_fract_y
_atom_site_fract_z
_atom_site_occupancy
Ga1 0.0000 0.0000 0.0000 1
Ga2 0.0000 0.0000 0.0703 1
Ga3 0.3333 0.6667 0.2513 1
Ga4 0.3333 0.6667 0.3215 1
Se1 0.0000 0.0000 0.2179 1
Se2 0.0000 0.0000 0.3549 1
Se3 0.3333 0.6667 0.4665 1
Se4 0.3333 0.6667 0.6038 1
# Corrected total energy (MP2020 scheme)   -65.43 eV per cell
# Calculated total energy   -3.853 eV/atom

# U3O11 PBE optimized geometry
data_U3O11
_chemical_formula_sum 'U12 O44'
_cell_length_a 7.259
_cell_length_b 11.376
_cell_length_c 14.887
_cell_angle_alpha 90.00
_cell_angle_beta 90.00
_cell_angle_gamma 90.00
_symmetry_space_group_name_H-M 'I m m m'
_symmetry_Int_Tables_number 71
_symmetry_space_group_name_Hall '-I 2 2'
loop_
_atom_site_label
_atom_site_fract_x
_atom_site_fract_y
_atom_site_fract_z
_atom_site_occupancy
U1 0.000 0.000 0.238 1
U2 0.000 0.320 0.268 1
O1 0.000 0.000 0.041 1
O2 0.000 0.000 0.364 1
O3 0.000 0.265 0.382 1
O4 0.000 0.356 0.150 1
O5 0.000 0.500 0.306 1
O6 0.178 0.140 0.229 1
# Corrected total energy (MP2020 scheme)   -490.74 eV per cell
# Calculated total energy   -8.637 eV/atom

# Mg14CdSn PBE optimized geometry
data_Mg14CdSn
_chemical_formula_sum 'Mg14 Cd1 Sn1'
_cell_length_a 6.3507
_cell_length_b 6.3507
_cell_length_c 10.4899
_cell_angle_alpha 90.00
_cell_angle_beta 90.00
_cell_angle_gamma 120.00
_symmetry_space_group_name_H-M 'P -6 m 2'
_symmetry_Int_Tables_number 187
_symmetry_space_group_name_Hall 'P -6 2'
loop_
_atom_site_label
_atom_site_fract_x
_atom_site_fract_y
_atom_site_fract_z
_atom_site_occupancy
Mg1 0.0000 0.0000 0.2486 1
Mg2 0.3330 0.1665 0.5000 1
Mg3 0.3339 0.1670 0.0000 1
Mg4 0.5004 0.0009 0.2472 1
Cd1 0.3333 0.6667 0.0000 1
Sn1 0.3333 0.6667 0.5000 1
# Calculated total energy   -1.755 eV/atom
# Relative energy among the computed polymorphs   0 meV/atom

Question: What is the formula in the fourth record?
Answer: NdGa3Cu

Copy entry 4 word for word.
# NdGa3Cu PBE optimized geometry
data_NdGa3Cu
_chemical_formula_sum 'Nd2 Ga6 Cu2'
_cell_length_a 4.198
_cell_length_b 4.198
_cell_length_c 10.621
_cell_angle_alpha 90.00
_cell_angle_beta 90.00
_cell_angle_gamma 90.00
_symmetry_space_group_name_H-M 'I -4 m 2'
_symmetry_Int_Tables_number 119
_symmetry_space_group_name_Hall 'I -4 -2'
loop_
_atom_site_label
_atom_site_fract_x
_atom_site_fract_y
_atom_site_fract_z
_atom_site_occupancy
Nd1 0.000 0.000 0.000 1
Ga1 0.000 0.000 0.383 1
Ga2 0.000 0.500 0.250 1
Cu1 0.000 0.500 0.750 1
# Calculated total energy   -4.095 eV/atom

Question: calculated total energy of number 6 (GaSe)?
Answer: -3.853 eV/atom

Question: Among the records above, which one has the lowest calculated total energy?
Answer: U3O11